Entry 1:
12
Lattice="3.986 0.000 0.000 0.000 3.985 6.920 0.000 -3.985 6.920" Properties=species:S:1:pos:R:3 comment="GGA-PBE LaGd3Cl4O4, relaxed" e_form_ev_per_atom=-3.30 sg="No. 38" density_g_cm3=6.17 volume_a3_per_atom=18.3 pbc="T T T"
La 0.000 0.000 0.000
Gd 0.000 0.000 6.801
Gd 1.993 -1.994 4.505
Gd 1.993 1.994 4.505
Cl 0.000 0.000 3.122
Cl 0.000 0.000 10.054
Cl 1.993 -1.932 8.228
Cl 1.993 1.932 8.228
O 0.000 -1.960 5.646
O 0.000 1.960 5.646
O 1.993 0.000 5.651
O 1.993 0.000 12.563


Entry 2:
4
Lattice="3.731 0.000 0.000 0.000 3.731 0.000 0.000 0.000 3.731" Properties=species:S:1:pos:R:3 comment="GGA-PBE Fe3Pd, relaxed" e_form_ev_per_atom=0.07 sg="No. 221" density_g_cm3=8.76 volume_a3_per_atom=13.0 pbc="T T T"
Fe 0.000 0.000 1.866
Fe 0.000 1.866 0.000
Fe 1.866 0.000 0.000
Pd 1.866 1.866 1.866


Entry 3:
4
Lattice="4.623 0.000 0.000 0.000 4.623 0.000 0.000 0.000 4.424" Properties=species:S:1:pos:R:3 comment="GGA-PBE ErAgSn2, relaxed" e_form_ev_per_atom=-0.42 sg="No. 123" density_g_cm3=9.00 volume_a3_per_atom=23.6 pbc="T T T"
Er 0.000 0.000 0.000
Ag 2.311 2.311 0.000
Sn 0.000 2.311 2.212
Sn 2.311 0.000 2.212


Entry 4:
9
Lattice="6.075 0.000 0.000 -3.038 5.261 0.000 0.000 0.000 4.894" Properties=species:S:1:pos:R:3 comment="GGA-PBE Rb2IrF6, relaxed" e_form_ev_per_atom=-2.48 sg="No. 164" density_g_cm3=5.06 volume_a3_per_atom=17.4 pbc="T T T"
Rb 0.000 3.508 1.440
Rb 3.038 1.754 3.454
Ir 0.000 0.000 0.000
F 0.000 1.652 3.812
F -1.607 4.435 3.812
F 1.431 0.826 1.082
F 1.607 4.435 3.812
F 4.645 0.826 1.082
F 3.038 3.609 1.082


Entry 5:
3
Lattice="3.488 0.000 0.000 -1.744 3.020 0.000 0.000 0.000 6.739" Properties=species:S:1:pos:R:3 comment="GGA-PBE NbSe2, relaxed" e_form_ev_per_atom=-1.12 sg="No. 164" density_g_cm3=5.87 volume_a3_per_atom=23.7 pbc="T T T"
Nb 0.000 0.000 0.000
Se 0.000 2.014 1.682
Se 1.744 1.007 5.057


Entry 6:
42
Lattice="11.021 0.000 0.000 0.000 14.669 0.000 0.000 0.000 3.904" Properties=species:S:1:pos:R:3 comment="GGA-PBE LaCu4P2, relaxed" e_form_ev_per_atom=-0.54 sg="No. 58" density_g_cm3=7.18 volume_a3_per_atom=15.0 pbc="T T T"
La 0.000 0.000 0.000
La 1.344 4.003 0.000
La 4.166 11.338 1.952
La 5.511 7.334 1.952
La 6.855 3.331 1.952
La 9.677 10.665 0.000
Cu 0.773 8.254 0.000
Cu 0.844 12.197 1.952
Cu 1.081 6.563 1.952
Cu 1.869 10.492 0.000
Cu 2.602 14.140 1.952
Cu 2.671 8.613 1.952
Cu 2.840 1.279 0.000
Cu 2.909 6.806 0.000
Cu 3.641 3.158 1.952
Cu 4.430 13.897 0.000
Cu 4.667 4.863 0.000
Cu 4.737 0.920 1.952
Cu 6.284 13.749 1.952
Cu 6.355 9.806 0.000
Cu 6.592 0.772 0.000
Cu 7.380 11.511 1.952
Cu 8.112 7.863 0.000
Cu 8.182 13.390 0.000
Cu 8.350 6.055 1.952
Cu 8.420 0.528 1.952
Cu 9.152 4.177 0.000
Cu 9.940 8.106 1.952
Cu 10.177 2.471 1.952
Cu 10.248 6.414 0.000
P 0.676 9.761 1.952
P 1.496 1.676 1.952
P 2.295 12.783 0.000
P 3.215 5.448 1.952
P 4.015 9.011 0.000
P 4.835 2.426 0.000
P 6.187 12.243 0.000
P 7.007 5.658 0.000
P 7.806 9.221 1.952
P 8.726 1.886 0.000
P 9.525 12.992 1.952
P 10.345 4.908 1.952


Entry 7:
36
Lattice="10.750 0.000 0.000 0.000 6.688 0.000 -4.001 0.000 10.018" Properties=species:S:1:pos:R:3 comment="GGA-PBE K4TiO4, relaxed" e_form_ev_per_atom=-2.38 sg="No. 14" density_g_cm3=2.47 volume_a3_per_atom=20.0 pbc="T T T"
K -0.115 0.613 1.970
K -2.115 2.730 6.979
K 1.374 4.088 0.835
K -0.626 5.943 5.844
K 0.406 4.458 8.925
K 2.406 5.574 3.916
K 1.394 1.241 7.945
K 3.395 2.103 2.936
K 3.355 4.585 7.082
K 5.355 5.447 2.073
K 4.343 1.114 6.102
K 6.343 2.230 1.093
K 7.375 0.744 4.174
K 5.375 2.600 9.183
K 8.864 3.957 3.039
K 6.864 6.074 8.048
Ti -1.356 0.859 9.920
Ti 0.644 2.485 4.911
Ti 6.105 4.203 5.107
Ti 8.105 5.829 0.098
O -3.013 1.609 9.731
O -1.013 1.735 4.722
O 1.017 3.414 3.359
O -0.983 6.617 8.368
O 0.734 3.580 6.413
O 2.734 6.451 1.404
O 1.872 1.114 5.144
O 3.872 2.229 0.135
O 2.877 4.458 9.883
O 4.877 5.573 4.874
O 4.016 0.236 8.614
O 6.016 3.108 3.605
O 7.732 0.071 1.650
O 5.732 3.273 6.659
O 7.762 4.953 5.296
O 9.763 5.078 0.287


Entry 8:
8
Lattice="3.086 0.000 0.000 -1.543 2.673 0.000 0.000 0.000 13.050" Properties=species:S:1:pos:R:3 comment="GGA-PBE Ti2GeC, relaxed" e_form_ev_per_atom=-0.81 sg="No. 194" density_g_cm3=5.56 volume_a3_per_atom=13.5 pbc="T T T"
Ti 0.000 1.782 1.160
Ti 0.000 1.782 5.365
Ti 1.543 0.891 7.685
Ti 1.543 0.891 11.890
Ge 0.000 1.782 9.787
Ge 1.543 0.891 3.262
C 0.000 0.000 0.000
C 0.000 0.000 6.525